The following is a DFT calculation (PBE with a Hubbard U) of an optimized crystal structure of KRb2MoO3F3.

Cell lengths 6.409, 6.409, 9.241 Å; angles 90.00, 90.00, 90.00 degrees
Sites, in units of the cell vectors:
F  0.724  0.276  0.499
F  0.500  0.500  0.721
F  0.276  0.724  0.499
F  0.224  0.224  0.999
F  0.000  0.000  0.221
F  0.776  0.776  0.999
K  0.500  0.500  0.993
K  0.000  0.000  0.493
O  0.802  0.198  0.022
O  0.000  0.000  0.787
O  0.302  0.302  0.522
O  0.198  0.802  0.022
O  0.698  0.698  0.522
O  0.500  0.500  0.287
Rb  0.500  0.000  0.239
Rb  0.000  0.500  0.739
Rb  0.000  0.500  0.239
Rb  0.500  0.000  0.739
Mo  0.500  0.500  0.480
Mo  0.000  0.000  0.980

Values from the calculation:
* E (MP2020): -0.4388 Ry per atom
* space-group type: No. 102
* ρ: 3.6 g/cm³
* formation enthalpy at 0 K: -2.5191 eV per atom